Entry 1:
# CdIn | the Materials Project database | r²SCAN | optimized geometry
data_CdIn
_cell_length_a 3.1401
_cell_length_b 3.1401
_cell_length_c 5.7718
_cell_angle_alpha 90.00
_cell_angle_beta 90.00
_cell_angle_gamma 120.00
_symmetry_space_group_name_H-M 'P -6 m 2'
_symmetry_Int_Tables_number 187
_symmetry_space_group_name_Hall 'P -6 2'
loop_
_atom_site_label
_atom_site_fract_x
_atom_site_fract_y
_atom_site_fract_z
Cd1 0.0000 0.0000 0.0000
In1 0.6667 0.3333 0.5000
# Crystal system ... hexagonal
# Total moment ... 0.0 μB/cell
# ΔH_f (0 K) ... 0.0594 eV/atom
# E ... -21.282 eV/atom


Entry 2:
# K23Na8Cd12In48 | the Materials Project database | r²SCAN | optimized geometry
data_K23Na8Cd12In48
_cell_length_a 17.2154
_cell_length_b 17.2154
_cell_length_c 10.4416
_cell_angle_alpha 90.00
_cell_angle_beta 90.00
_cell_angle_gamma 120.00
_symmetry_space_group_name_H-M 'P 6/m m m'
_symmetry_Int_Tables_number 191
_symmetry_space_group_name_Hall '-P 6 2'
loop_
_atom_site_label
_atom_site_fract_x
_atom_site_fract_y
_atom_site_fract_z
K1 0.0000 0.0000 0.0000
K2 0.0000 0.3659 0.5000
K3 0.2062 0.4123 0.3040
K4 0.3333 0.6667 0.1989
Na1 0.0000 0.0000 0.3499
Na2 0.1326 0.2653 0.0000
Cd1 0.0000 0.1810 0.2537
In1 0.0000 0.3466 0.1495
In2 0.0990 0.5495 0.2491
In3 0.1059 0.2117 0.5000
In4 0.1579 0.4904 0.0000
In5 0.2127 0.6064 0.5000
# Crystal system ... hexagonal
# Total moment ... 0.0 μB/cell
# ΔH_f (0 K) ... -0.2650 eV/atom
# E ... -16.660 eV/atom


Entry 3:
# Lu2CdIn | the Materials Project database | r²SCAN | optimized geometry
data_Lu2CdIn
_cell_length_a 7.302
_cell_length_b 7.302
_cell_length_c 7.302
_cell_angle_alpha 90.00
_cell_angle_beta 90.00
_cell_angle_gamma 90.00
_symmetry_space_group_name_H-M 'F m -3 m'
_symmetry_Int_Tables_number 225
_symmetry_space_group_name_Hall '-F 4 2 3'
loop_
_atom_site_label
_atom_site_fract_x
_atom_site_fract_y
_atom_site_fract_z
Lu1 0.250 0.250 0.250
Cd1 0.000 0.000 0.000
In1 0.000 0.000 0.500
# Crystal system ... cubic
# Total moment ... 0.0 μB/cell
# ΔH_f (0 K) ... -0.4473 eV/atom
# E ... -30.158 eV/atom


Entry 4:
# Mg6CdIn | the Materials Project database | r²SCAN | optimized geometry
data_Mg6CdIn
_cell_length_a 6.2867
_cell_length_b 6.2867
_cell_length_c 5.0827
_cell_angle_alpha 90.00
_cell_angle_beta 90.00
_cell_angle_gamma 120.00
_symmetry_space_group_name_H-M 'P -6 m 2'
_symmetry_Int_Tables_number 187
_symmetry_space_group_name_Hall 'P -6 2'
loop_
_atom_site_label
_atom_site_fract_x
_atom_site_fract_y
_atom_site_fract_z
Mg1 0.0002 0.5001 0.0000
Mg2 0.1659 0.3317 0.5000
Cd1 0.0000 0.0000 0.0000
In1 0.6667 0.3333 0.5000
# Crystal system ... hexagonal
# Total moment ... 0.0 μB/cell
# ΔH_f (0 K) ... -0.0873 eV/atom
# E ... -8.550 eV/atom


Entry 5:
# NdCdIn | the Materials Project database | r²SCAN | optimized geometry
data_NdCdIn
_cell_length_a 4.9013
_cell_length_b 4.9013
_cell_length_c 7.7603
_cell_angle_alpha 90.00
_cell_angle_beta 90.00
_cell_angle_gamma 120.00
_symmetry_space_group_name_H-M 'P -3 m 1'
_symmetry_Int_Tables_number 164
_symmetry_space_group_name_Hall '-P 3 2"'
loop_
_atom_site_label
_atom_site_fract_x
_atom_site_fract_y
_atom_site_fract_z
Nd1 0.0000 0.0000 0.2373
Cd1 0.3333 0.6667 0.9724
In1 0.3333 0.6667 0.5530
# Crystal system ... trigonal
# Total moment ... 0.0 μB/cell
# ΔH_f (0 K) ... -0.5604 eV/atom
# E ... -24.594 eV/atom


Entry 6:
# Nd2CdIn | the Materials Project database | r²SCAN | optimized geometry
data_Nd2CdIn
_cell_length_a 7.730
_cell_length_b 7.730
_cell_length_c 7.730
_cell_angle_alpha 90.00
_cell_angle_beta 90.00
_cell_angle_gamma 90.00
_symmetry_space_group_name_H-M 'F m -3 m'
_symmetry_Int_Tables_number 225
_symmetry_space_group_name_Hall '-F 4 2 3'
loop_
_atom_site_label
_atom_site_fract_x
_atom_site_fract_y
_atom_site_fract_z
Nd1 0.250 0.250 0.250
Cd1 0.000 0.000 0.000
In1 0.000 0.000 0.500
# Crystal system ... cubic
# Total moment ... 0.0 μB/cell
# ΔH_f (0 K) ... -0.5180 eV/atom
# E ... -25.898 eV/atom